1.
First-principles (GGA-PBE) data for an optimized crystal structure of SiH7N2F5, as listed in the Materials Project.

a b c (Å): 6.3115 7.2594 8.8040
angles (deg): 90.00 134.21 90.00
Fractional positions:
Si: 0.0000 0.2281 0.0000
Si: 0.0000 0.7719 0.5000
H: 0.0354 0.0891 0.6205
H: 0.0354 0.9109 0.1205
H: 0.0861 0.0929 0.4584
H: 0.0861 0.9071 0.9584
H: 0.3426 0.4186 0.9768
H: 0.3426 0.5814 0.4768
H: 0.3885 0.4202 0.3662
H: 0.3885 0.5798 0.8662
H: 0.5963 0.4151 0.6283
H: 0.5963 0.5849 0.1283
H: 0.6492 0.4172 0.0230
H: 0.6492 0.5828 0.5230
H: 0.7501 0.0746 0.3622
H: 0.7501 0.9254 0.8622
N: 0.4960 0.5000 0.4993
N: 0.4960 0.5000 0.9993
N: 0.9659 0.0337 0.4843
N: 0.9659 0.9663 0.9843
F: 0.0168 0.2239 0.8130
F: 0.0168 0.7761 0.3130
F: 0.0317 0.4624 0.0144
F: 0.0317 0.5376 0.5144
F: 0.3786 0.2075 0.1975
F: 0.3786 0.7925 0.6975
F: 0.6215 0.2460 0.8017
F: 0.6215 0.7540 0.3017
F: 0.9830 0.2293 0.1864
F: 0.9830 0.7707 0.6864

Calculated values
Calculated volume = 289.14 Å³ per cell
E_form = -25.81 eV per formula unit
Electronic total energy = -5.26 eV per atom

=====

2.
First-principles (GGA-PBE) data for an optimized crystal structure of SnH3NF3, as listed in the Materials Project.

a b c (Å): 8.4124 8.4124 5.8430
angles (deg): 101.25 101.25 100.80
Fractional positions:
Sn: 0.0916 0.2964 0.0210
Sn: 0.2964 0.0916 0.5210
Sn: 0.7036 0.9084 0.4790
Sn: 0.9084 0.7036 0.9790
H: 0.1584 0.6197 0.6307
H: 0.2938 0.4870 0.6317
H: 0.3270 0.6546 0.4989
H: 0.3454 0.6730 0.0011
H: 0.3803 0.8416 0.8693
H: 0.4870 0.2938 0.1317
H: 0.5130 0.7062 0.8683
H: 0.6197 0.1584 0.1307
H: 0.6546 0.3270 0.9989
H: 0.6730 0.3454 0.5011
H: 0.7062 0.5130 0.3683
H: 0.8416 0.3803 0.3693
N: 0.2849 0.6105 0.6368
N: 0.3895 0.7151 0.8632
N: 0.6105 0.2849 0.1368
N: 0.7151 0.3895 0.3632
F: 0.0089 0.3369 0.3474
F: 0.1731 0.5571 0.0850
F: 0.3215 0.3265 0.7666
F: 0.3265 0.3215 0.2666
F: 0.3369 0.0089 0.8474
F: 0.4429 0.8269 0.4150
F: 0.5571 0.1731 0.5850
F: 0.6631 0.9911 0.1526
F: 0.6735 0.6785 0.7334
F: 0.6785 0.6735 0.2334
F: 0.8269 0.4429 0.9150
F: 0.9911 0.6631 0.6526

Calculated values
Calculated volume = 386.68 Å³ per cell
E_form = -12.34 eV per formula unit
Electronic total energy = -4.90 eV per atom

=====

3.
First-principles (GGA-PBE) data for an optimized crystal structure of Ti2H11N8F12, as listed in the Materials Project.

a b c (Å): 7.7435 10.0659 9.7545
angles (deg): 90.00 94.17 90.00
Fractional positions:
Ti: 0.2174 0.0000 0.4868
Ti: 0.2527 0.3174 0.0039
Ti: 0.7473 0.8174 0.9961
Ti: 0.7826 0.5000 0.5132
H: 0.0465 0.6454 0.2107
H: 0.0631 0.6637 0.6873
H: 0.1316 0.7368 0.3401
H: 0.1484 0.5640 0.3431
H: 0.1489 0.5947 0.8416
H: 0.1569 0.7621 0.8154
H: 0.3248 0.5896 0.1432
H: 0.3409 0.7225 0.6281
H: 0.3468 0.3878 0.7264
H: 0.4158 0.6764 0.2836
H: 0.4272 0.6327 0.7755
H: 0.5728 0.1327 0.2245
H: 0.5842 0.1764 0.7164
H: 0.6532 0.8878 0.2736
H: 0.6591 0.2225 0.3719
H: 0.6752 0.0896 0.8568
H: 0.8431 0.2621 0.1846
H: 0.8511 0.0947 0.1584
H: 0.8516 0.0640 0.6569
H: 0.8684 0.2368 0.6599
H: 0.9369 0.1637 0.3127
H: 0.9535 0.1454 0.7893
N: 0.1537 0.6491 0.2825
N: 0.1648 0.6699 0.7673
N: 0.2399 0.8991 0.9491
N: 0.2406 0.9550 0.0475
N: 0.2674 0.3787 0.4438
N: 0.2911 0.3818 0.5574
N: 0.3086 0.6623 0.2164
N: 0.3237 0.6562 0.7087
N: 0.6763 0.1562 0.2913
N: 0.6914 0.1623 0.7836
N: 0.7089 0.8818 0.4426
N: 0.7326 0.8787 0.5562
N: 0.7594 0.4550 0.9525
N: 0.7601 0.3991 0.0509
N: 0.8352 0.1699 0.2327
N: 0.8463 0.1491 0.7175
F: 0.0475 0.1391 0.4537
F: 0.0723 0.8936 0.3606
F: 0.0870 0.9505 0.6368
F: 0.1108 0.2588 0.1279
F: 0.1325 0.2281 0.8592
F: 0.1373 0.4816 0.9581
F: 0.3410 0.0626 0.3443
F: 0.3464 0.8363 0.5082
F: 0.3710 0.0940 0.6084
F: 0.3905 0.4238 0.1244
F: 0.3967 0.3956 0.8206
F: 0.4317 0.1982 0.0134
F: 0.5683 0.6982 0.9866
F: 0.6033 0.8956 0.1794
F: 0.6095 0.9238 0.8756
F: 0.6290 0.5940 0.3916
F: 0.6536 0.3363 0.4918
F: 0.6590 0.5626 0.6557
F: 0.8627 0.9816 0.0419
F: 0.8675 0.7281 0.1408
F: 0.8892 0.7588 0.8721
F: 0.9130 0.4505 0.3632
F: 0.9277 0.3936 0.6394
F: 0.9525 0.6391 0.5463

Calculated values
Calculated volume = 758.30 Å³ per cell
E_form = -51.76 eV per formula unit
Electronic total energy = -5.73 eV per atom

=====

4.
First-principles (GGA-PBE) data for an optimized crystal structure of TiH8N2F6, as listed in the Materials Project.

a b c (Å): 5.9527 5.9527 5.4160
angles (deg): 90.00 90.00 120.00
Fractional positions:
Ti: 0.0000 0.0000 0.0000
H: 0.1428 0.5714 0.2606
H: 0.3333 0.6667 0.0107
H: 0.4286 0.5714 0.2606
H: 0.4286 0.8572 0.2606
H: 0.5714 0.1428 0.7394
H: 0.5714 0.4286 0.7394
H: 0.6667 0.3333 0.9893
H: 0.8572 0.4286 0.7394
N: 0.3333 0.6667 0.2011
N: 0.6667 0.3333 0.7989
F: 0.1513 0.3025 0.8005
F: 0.1513 0.8487 0.8005
F: 0.3025 0.1513 0.1995
F: 0.6975 0.8487 0.8005
F: 0.8487 0.1513 0.1995
F: 0.8487 0.6975 0.1995

Calculated values
Calculated volume = 166.20 Å³ per cell
E_form = -30.78 eV per formula unit
Polymorph energy (0 for the lowest one) = 16.5 meV per atom
Electronic total energy = -5.36 eV per atom

=====

5.
First-principles (GGA-PBE) data for an optimized crystal structure of TiH12N4F8, as listed in the Materials Project.

a b c (Å): 5.5198 13.8135 11.0413
angles (deg): 90.00 90.00 90.00
Fractional positions:
Ti: 0.2500 0.2500 0.1247
Ti: 0.2500 0.2500 0.6247
Ti: 0.7500 0.7500 0.3753
Ti: 0.7500 0.7500 0.8753
H: 0.0064 0.5575 0.1444
H: 0.0064 0.9425 0.6444
H: 0.0069 0.0592 0.8922
H: 0.0069 0.4408 0.3922
H: 0.1046 0.6666 0.5566
H: 0.1046 0.8334 0.0566
H: 0.1166 0.6655 0.1979
H: 0.1166 0.8345 0.6979
H: 0.2185 0.5601 0.5008
H: 0.2185 0.9399 0.0008
H: 0.2290 0.5592 0.2535
H: 0.2290 0.9408 0.7535
H: 0.2710 0.5592 0.7535
H: 0.2710 0.9408 0.2535
H: 0.2815 0.5601 0.0008
H: 0.2815 0.9399 0.5008
H: 0.3834 0.6655 0.6979
H: 0.3834 0.8345 0.1979
H: 0.3954 0.6666 0.0566
H: 0.3954 0.8334 0.5566
H: 0.4931 0.0592 0.3922
H: 0.4931 0.4408 0.8922
H: 0.4936 0.5575 0.6444
H: 0.4936 0.9425 0.1444
H: 0.5064 0.0575 0.8556
H: 0.5064 0.4425 0.3556
H: 0.5069 0.5592 0.1078
H: 0.5069 0.9408 0.6078
H: 0.6046 0.1666 0.4434
H: 0.6046 0.3334 0.9434
H: 0.6166 0.1655 0.8021
H: 0.6166 0.3345 0.3021
H: 0.7185 0.0601 0.4992
H: 0.7185 0.4399 0.9992
H: 0.7290 0.0592 0.7465
H: 0.7290 0.4408 0.2465
H: 0.7710 0.0592 0.2465
H: 0.7710 0.4408 0.7465
H: 0.7815 0.0601 0.9992
H: 0.7815 0.4399 0.4992
H: 0.8834 0.1655 0.3021
H: 0.8834 0.3345 0.8021
H: 0.8954 0.1666 0.9434
H: 0.8954 0.3334 0.4434
H: 0.9931 0.5592 0.6078
H: 0.9931 0.9408 0.1078
H: 0.9936 0.0575 0.3556
H: 0.9936 0.4425 0.8556
N: 0.1524 0.5954 0.5798
N: 0.1524 0.9046 0.0798
N: 0.1657 0.5947 0.1742
N: 0.1657 0.9053 0.6742
N: 0.3343 0.5947 0.6742
N: 0.3343 0.9053 0.1742
N: 0.3476 0.5954 0.0798
N: 0.3476 0.9046 0.5798
N: 0.6524 0.0954 0.4202
N: 0.6524 0.4046 0.9202
N: 0.6657 0.0947 0.8258
N: 0.6657 0.4053 0.3258
N: 0.8343 0.0947 0.3258
N: 0.8343 0.4053 0.8258
N: 0.8476 0.0954 0.9202
N: 0.8476 0.4046 0.4202
F: 0.0104 0.2309 0.7463
F: 0.0104 0.2691 0.2463
F: 0.0114 0.2306 0.5026
F: 0.0114 0.2694 0.0026
F: 0.1773 0.1170 0.1256
F: 0.1773 0.3830 0.6256
F: 0.2317 0.0002 0.3779
F: 0.2317 0.4998 0.8779
F: 0.2683 0.0002 0.8779
F: 0.2683 0.4998 0.3779
F: 0.3227 0.1170 0.6256
F: 0.3227 0.3830 0.1256
F: 0.4886 0.2306 0.0026
F: 0.4886 0.2694 0.5026
F: 0.4896 0.2309 0.2463
F: 0.4896 0.2691 0.7463
F: 0.5104 0.7309 0.2537
F: 0.5104 0.7691 0.7537
F: 0.5114 0.7306 0.4974
F: 0.5114 0.7694 0.9974
F: 0.6773 0.6170 0.8744
F: 0.6773 0.8830 0.3744
F: 0.7317 0.9998 0.1221
F: 0.7317 0.5002 0.6221
F: 0.7683 0.9998 0.6221
F: 0.7683 0.5002 0.1221
F: 0.8227 0.6170 0.3744
F: 0.8227 0.8830 0.8744
F: 0.9886 0.7306 0.9974
F: 0.9886 0.7694 0.4974
F: 0.9896 0.7309 0.7537
F: 0.9896 0.7691 0.2537

Calculated values
Calculated volume = 841.88 Å³ per cell
E_form = -37.76 eV per formula unit
Electronic total energy = -5.25 eV per atom

=====

6.
First-principles (GGA-PBE) data for an optimized crystal structure of TiH12N3F7, as listed in the Materials Project.

a b c (Å): 7.1856 7.2359 7.4638
angles (deg): 117.94 95.78 107.37
Fractional positions:
Ti: 0.0000 0.0000 0.0000
H: 0.0868 0.5246 0.7306
H: 0.2239 0.7654 0.1016
H: 0.2940 0.4199 0.2189
H: 0.4419 0.9861 0.9375
H: 0.4863 0.5167 0.6701
H: 0.5262 0.0124 0.3808
H: 0.5317 0.9572 0.9559
H: 0.5437 0.5839 0.6270
H: 0.6241 0.2822 0.1176
H: 0.6252 0.2875 0.4446
H: 0.7554 0.1467 0.7154
H: 0.7799 0.1500 0.4201
N: 0.2056 0.2493 0.1345
N: 0.6525 0.1688 0.4712
N: 0.6998 0.2565 0.6958
F: 0.0780 0.3804 0.6179
F: 0.0968 0.7545 0.9243
F: 0.3095 0.7779 0.2213
F: 0.5021 0.1896 0.7285
F: 0.7168 0.4054 0.2493
F: 0.8302 0.9849 0.1691
F: 0.8457 0.9787 0.7692

Calculated values
Calculated volume = 313.62 Å³ per cell
E_form = -25.84 eV per formula unit
Polymorph energy (0 for the lowest one) = 0.0 meV per atom
Electronic total energy = -4.77 eV per atom